[1]
First-principles (PBE-GGA) data for SnAsF7 after structural relaxation, as listed in Materials Project.

Cell lengths 7.8662, 7.8662, 7.8662 Å; angles 72.92, 72.92, 72.92 degrees
Element x y z (fractional)
1 F 0.2391 0.3972 0.0864
2 F 0.9136 0.6028 0.7609
3 F 0.4865 0.7984 0.6360
4 Sn 0.5000 0.2415 0.7585
5 F 0.1490 0.8810 0.1500
6 F 0.8810 0.1500 0.1490
7 F 0.8500 0.1190 0.8510
8 F 0.8510 0.8500 0.1190
9 As 0.2991 0.2991 0.2991
10 As 0.0000 0.0000 0.0000
11 F 0.0864 0.2391 0.3972
12 F 0.2016 0.5135 0.3640
13 F 0.5000 0.6793 0.3207
14 F 0.3640 0.2016 0.5135
15 As 0.7009 0.7009 0.7009
16 F 0.6028 0.7609 0.9136
17 F 0.3207 0.5000 0.6793
18 F 0.1500 0.1490 0.8810
19 F 0.7984 0.6360 0.4865
20 F 0.3972 0.0864 0.2391
21 F 0.6793 0.3207 0.5000
22 Sn 0.2415 0.7585 0.5000
23 Sn 0.7585 0.5000 0.2415
24 F 0.5135 0.3640 0.2016
25 F 0.1190 0.8510 0.8500
26 F 0.6360 0.4865 0.7984
27 F 0.7609 0.9136 0.6028

SG: R32 (155)
E_tot in eV for the cell shown: -124.69
Volume in Å³/cell: 433.1



[2]
First-principles (PBE-GGA) data for SrAs2Xe3F18 after structural relaxation, as listed in Materials Project.

Cell lengths 8.9368, 8.9368, 11.3435 Å; angles 84.01, 84.01, 90.23 degrees
Element x y z (fractional)
1 F 0.0192 0.3531 0.6856
2 F 0.9689 0.3585 0.1207
3 F 0.5857 0.1382 0.0726
4 F 0.3082 0.3082 0.4912
5 F 0.1382 0.5857 0.0726
6 F 0.8618 0.4143 0.9274
7 As 0.0000 0.5000 0.0000
8 F 0.6127 0.8569 0.0711
9 F 0.3585 0.9689 0.1207
10 F 0.6469 0.9808 0.3144
11 Xe 0.2047 0.6837 0.3355
12 F 0.0622 0.3416 0.4017
13 F 0.0955 0.0955 0.3129
14 As 0.5000 0.0000 0.0000
15 F 0.2992 0.2992 0.2711
16 Xe 0.5000 0.5000 0.0000
17 F 0.4587 0.4587 0.8287
18 F 0.3416 0.0622 0.4017
19 F 0.9808 0.6469 0.3144
20 F 0.7170 0.4304 0.3613
21 F 0.4304 0.7170 0.3613
22 F 0.1431 0.3873 0.9289
23 Xe 0.3163 0.7953 0.6645
24 F 0.7008 0.7008 0.7289
25 F 0.9378 0.6584 0.5983
26 F 0.2830 0.5696 0.6387
27 Xe 0.6837 0.2047 0.3355
28 F 0.3531 0.0192 0.6856
29 F 0.0311 0.6415 0.8793
30 F 0.4143 0.8618 0.9274
31 F 0.9078 0.9078 0.1674
32 F 0.6584 0.9378 0.5983
33 Sr 0.7143 0.7143 0.2770
34 F 0.8569 0.6127 0.0711
35 F 0.6918 0.6918 0.5088
36 F 0.1104 0.1104 0.5348
37 As 0.2003 0.2003 0.3991
38 Xe 0.0000 0.0000 0.0000
39 F 0.5413 0.5413 0.1713
40 F 0.3873 0.1431 0.9289
41 F 0.9045 0.9045 0.6871
42 F 0.6415 0.0311 0.8793
43 Sr 0.2857 0.2857 0.7230
44 Xe 0.7953 0.3163 0.6645
45 F 0.5696 0.2830 0.6387
46 F 0.0922 0.0922 0.8326
47 As 0.7997 0.7997 0.6009
48 F 0.8896 0.8896 0.4652

SG: C2/m (12)
E_tot in eV for the cell shown: -174.85
Volume in Å³/cell: 896.0



[3]
First-principles (PBE-GGA) data for SrZnAsF after structural relaxation, as listed in Materials Project.

Cell lengths 4.1539, 4.1539, 9.1749 Å; angles 90.00, 90.00, 90.00 degrees
Element x y z (fractional)
1 Sr 0.5000 0.0000 0.1538
2 Zn 0.5000 0.5000 0.5000
3 Zn 0.0000 0.0000 0.5000
4 Sr 0.0000 0.5000 0.8462
5 As 0.5000 0.0000 0.6703
6 As 0.0000 0.5000 0.3297
7 F 0.0000 0.0000 0.0000
8 F 0.5000 0.5000 0.0000

SG: P4/nmm (129)
E_tot in eV for the cell shown: -34.18
Volume in Å³/cell: 158.3



[4]
First-principles (PBE-GGA) data for TlAsF6 after structural relaxation, as listed in Materials Project.

Cell lengths 5.1570, 5.1570, 5.1570 Å; angles 96.82, 96.82, 96.82 degrees
Element x y z (fractional)
1 F 0.5787 0.2234 0.2990
2 F 0.2990 0.5787 0.2234
3 F 0.7766 0.7010 0.4213
4 As 0.5000 0.5000 0.5000
5 F 0.7010 0.4213 0.7766
6 F 0.2234 0.2990 0.5787
7 F 0.4213 0.7766 0.7010
8 Tl 0.0000 0.0000 0.0000

SG: R-3 (148)
E_tot in eV for the cell shown: -35.50
Volume in Å³/cell: 134.0



[5]
First-principles (PBE-GGA) data for AsXe2F9 after structural relaxation, as listed in Materials Project.

Cell lengths 14.2409, 14.2409, 15.8953 Å; angles 56.21, 56.21, 37.19 degrees
Element x y z (fractional)
1 F 0.1849 0.5422 0.6315
2 As 0.0000 0.5000 0.5000
3 F 0.8577 0.3586 0.8514
4 Xe 0.1484 0.7397 0.1968
5 F 0.3513 0.1919 0.7033
6 F 0.5004 0.6253 0.1270
7 F 0.0356 0.4426 0.6186
8 F 0.3384 0.9864 0.4752
9 Xe 0.8516 0.2603 0.8032
10 F 0.0262 0.8319 0.5904
11 F 0.9745 0.3218 0.2243
12 F 0.3256 0.6264 0.5491
13 F 0.6782 0.0255 0.2757
14 F 0.6414 0.1423 0.6486
15 As 0.3484 0.8238 0.8376
16 F 0.1919 0.3513 0.2033
17 Xe 0.7286 0.4939 0.0486
18 F 0.6538 0.9887 0.9547
19 F 0.9644 0.5574 0.3814
20 F 0.6253 0.5004 0.6270
21 Xe 0.5061 0.2714 0.4514
22 F 0.7606 0.1673 0.1942
23 F 0.1681 0.9738 0.9096
24 F 0.1673 0.7606 0.6942
25 F 0.0255 0.6782 0.7757
26 F 0.8081 0.6487 0.7967
27 F 0.6332 0.7917 0.0551
28 F 0.6744 0.3736 0.4509
29 F 0.3668 0.2083 0.9449
30 F 0.4996 0.3747 0.8730
31 F 0.3736 0.6744 0.9509
32 As 0.6516 0.1762 0.1624
33 F 0.9738 0.1681 0.4096
34 F 0.4426 0.0356 0.1186
35 F 0.3218 0.9745 0.7243
36 F 0.2394 0.8327 0.8058
37 Xe 0.4939 0.7286 0.5486
38 F 0.5281 0.6746 0.7651
39 F 0.6616 0.0136 0.5248
40 Xe 0.2714 0.5061 0.9514
41 Xe 0.1711 0.2688 0.8284
42 F 0.9887 0.6538 0.4547
43 Xe 0.2688 0.1711 0.3284
44 F 0.8151 0.4578 0.3685
45 F 0.0113 0.3462 0.5453
46 F 0.3462 0.0113 0.0453
47 As 0.5000 0.0000 0.0000
48 F 0.2083 0.3668 0.4449
49 As 0.8238 0.3484 0.3376
50 F 0.1324 0.8676 0.2500
51 F 0.3747 0.4996 0.3730
52 F 0.4719 0.3254 0.2349
53 F 0.8327 0.2394 0.3058
54 F 0.0136 0.6616 0.0248
55 F 0.4578 0.8151 0.8685
56 F 0.3586 0.8577 0.3514
57 F 0.8319 0.0262 0.0904
58 Xe 0.7397 0.1484 0.6968
59 F 0.5574 0.9644 0.8814
60 F 0.6746 0.5281 0.2651
61 Xe 0.8289 0.7312 0.1716
62 F 0.1423 0.6414 0.1486
63 F 0.8676 0.1324 0.7500
64 F 0.6264 0.3256 0.0491
65 F 0.9864 0.3384 0.9752
66 Xe 0.7312 0.8289 0.6716
67 As 0.1762 0.6516 0.6624
68 F 0.7917 0.6332 0.5551
69 F 0.5422 0.1849 0.1315
70 F 0.6487 0.8081 0.2967
71 F 0.3254 0.4719 0.7349
72 Xe 0.2603 0.8516 0.3032

SG: C2/c (15)
E_tot in eV for the cell shown: -223.35
Volume in Å³/cell: 1577.9



[6]
First-principles (PBE-GGA) data for AsXe2F9 after structural relaxation, as listed in Materials Project.

Cell lengths 8.8897, 13.9708, 13.9821 Å; angles 68.30, 71.52, 71.46 degrees
Element x y z (fractional)
1 F 0.1400 0.5739 0.6463
2 F 0.6705 0.0321 0.7652
3 F 0.2150 0.4802 0.9424
4 F 0.3206 0.4812 0.2224
5 F 0.6791 0.5198 0.7781
6 As 0.1760 0.0113 0.1609
7 Xe 0.7342 0.2664 0.1736
8 F 0.6338 0.7468 0.1301
9 F 0.3640 0.9805 0.4434
10 F 0.4906 0.2481 0.6302
11 F 0.7630 0.3745 0.6944
12 Xe 0.2592 0.0822 0.8031
13 F 0.0109 0.5991 0.0449
14 As 0.4997 0.0006 0.5003
15 Xe 0.7410 0.9187 0.1944
16 Xe 0.7248 0.2294 0.5514
17 F 0.8152 0.8564 0.8694
18 F 0.0234 0.0539 0.0870
19 F 0.3753 0.5006 0.4547
20 Xe 0.8526 0.5835 0.3046
21 F 0.6264 0.4961 0.5473
22 F 0.0220 0.0225 0.2765
23 F 0.1842 0.1452 0.1300
24 F 0.8569 0.4284 0.3537
25 F 0.9933 0.3991 0.9518
26 F 0.6562 0.9002 0.4556
27 F 0.8358 0.5510 0.5888
28 F 0.4378 0.9040 0.6213
29 F 0.3701 0.2502 0.8693
30 F 0.9755 0.9480 0.9125
31 Xe 0.2634 0.7328 0.8274
32 F 0.1317 0.2503 0.7458
33 F 0.6349 0.0208 0.5577
34 F 0.6398 0.0739 0.1439
35 F 0.8314 0.1245 0.8075
36 F 0.3369 0.6968 0.9775
37 Xe 0.1475 0.4186 0.6938
38 F 0.3285 0.9695 0.2345
39 F 0.6697 0.0019 0.9540
40 F 0.1640 0.4489 0.4116
41 F 0.5341 0.5308 0.2661
42 As 0.3490 0.4904 0.3387
43 F 0.9900 0.1985 0.4786
44 F 0.9770 0.9797 0.7231
45 Xe 0.8240 0.7681 0.6741
46 F 0.6687 0.2989 0.0217
47 F 0.1841 0.7577 0.6990
48 F 0.1665 0.8773 0.1926
49 F 0.8076 0.2434 0.3038
50 F 0.0113 0.8029 0.5239
51 F 0.7895 0.5180 0.0547
52 Xe 0.2759 0.7723 0.4492
53 F 0.3425 0.1010 0.5453
54 As 0.8230 0.9901 0.8387
55 Xe 0.4968 0.7282 0.0510
56 F 0.9650 0.5963 0.8780
57 F 0.2397 0.6249 0.3080
58 F 0.3557 0.2559 0.1975
59 Xe 0.1750 0.2321 0.3271
60 F 0.3292 0.9991 0.0459
61 F 0.4674 0.4674 0.7356
62 F 0.5410 0.6427 0.6308
63 As 0.0022 0.4992 0.9985
64 F 0.6417 0.7436 0.8025
65 F 0.0397 0.4017 0.1189
66 Xe 0.5063 0.2693 0.9485
67 F 0.5090 0.7544 0.3684
68 F 0.5610 0.0971 0.3800
69 F 0.8714 0.7512 0.2509
70 As 0.6517 0.5089 0.6624
71 F 0.3575 0.9266 0.8541
72 F 0.4583 0.3560 0.3691

SG: P1 (1)
E_tot in eV for the cell shown: -223.33
Volume in Å³/cell: 1490.0



[7]
First-principles (PBE-GGA) data for Fe12As5 after structural relaxation, as listed in Materials Project.

Cell lengths 6.6572, 6.6572, 6.6572 Å; angles 60.96, 60.96, 60.96 degrees
Element x y z (fractional)
1 Fe 0.3822 0.3822 0.3822
2 Fe 0.0000 0.0000 0.0000
3 Fe 0.6178 0.6178 0.6178
4 As 0.8563 0.8563 0.8563
5 Fe 0.9951 0.7751 0.4859
6 Fe 0.4859 0.9951 0.7751
7 As 0.0000 0.3460 0.6540
8 Fe 0.0049 0.5141 0.2249
9 As 0.3460 0.6540 0.0000
10 Fe 0.5141 0.2249 0.0049
11 Fe 0.5000 0.7369 0.2631
12 Fe 0.2249 0.0049 0.5141
13 As 0.1437 0.1437 0.1437
14 Fe 0.2631 0.5000 0.7369
15 As 0.6540 0.0000 0.3460
16 Fe 0.7751 0.4859 0.9951
17 Fe 0.7369 0.2631 0.5000

SG: R32 (155)
E_tot in eV for the cell shown: -126.13
Volume in Å³/cell: 213.2



[8]
First-principles (PBE-GGA) data for FeAs after structural relaxation, as listed in Materials Project.

Cell lengths 3.3150, 5.3973, 5.9979 Å; angles 90.00, 90.00, 90.00 degrees
Element x y z (fractional)
1 As 0.7500 0.8008 0.5760
2 Fe 0.7500 0.9996 0.2001
3 As 0.2500 0.6992 0.0760
4 Fe 0.2500 0.5004 0.7001
5 As 0.2500 0.1992 0.4240
6 Fe 0.7500 0.4996 0.2999
7 Fe 0.2500 0.0004 0.7999
8 As 0.7500 0.3008 0.9240

SG: Pnma (62)
E_tot in eV for the cell shown: -54.14
Volume in Å³/cell: 107.3



[9]
First-principles (PBE-GGA) data for FeAs2 after structural relaxation, as listed in Materials Project.

Cell lengths 2.8889, 5.3137, 5.9939 Å; angles 90.00, 90.00, 90.00 degrees
Element x y z (fractional)
1 As 0.0000 0.1792 0.3607
2 As 0.0000 0.8208 0.6393
3 Fe 0.0000 0.0000 0.0000
4 As 0.5000 0.3208 0.8607
5 Fe 0.5000 0.5000 0.5000
6 As 0.5000 0.6792 0.1393

SG: Pnnm (58)
E_tot in eV for the cell shown: -37.16
Volume in Å³/cell: 92.0



[10]
First-principles (PBE-GGA) data for GaFeAs2 after structural relaxation, as listed in Materials Project.

Cell lengths 6.3464, 6.8119, 7.8683 Å; angles 90.00, 90.00, 90.00 degrees
Element x y z (fractional)
1 As 0.9069 0.4048 0.6456
2 Ga 0.5074 0.9171 0.8741
3 As 0.4069 0.5952 0.3544
4 Ga 0.0074 0.5829 0.3741
5 Fe 0.0012 0.0838 0.6229
6 Ga 0.5074 0.4171 0.6259
7 Fe 0.5012 0.4162 0.1229
8 As 0.3577 0.0712 0.6061
9 Ga 0.0074 0.0829 0.1259
10 As 0.8577 0.9288 0.3939
11 As 0.4069 0.0952 0.1456
12 Fe 0.0012 0.5838 0.8771
13 As 0.9069 0.9048 0.8544
14 As 0.8577 0.4288 0.1061
15 Fe 0.5012 0.9162 0.3771
16 As 0.3577 0.5712 0.8939

SG: Pna2_1 (33)
E_tot in eV for the cell shown: -81.93
Volume in Å³/cell: 340.2



[11]
First-principles (PBE-GGA) data for Fe12Ge3As2 after structural relaxation, as listed in Materials Project.

Cell lengths 6.6431, 6.6431, 6.6431 Å; angles 62.03, 62.03, 62.03 degrees
Element x y z (fractional)
1 Fe 0.2397 0.7603 0.0000
2 Fe 0.8851 0.8851 0.8851
3 Fe 0.0000 0.2397 0.7603
4 Fe 0.9760 0.5037 0.2745
5 As 0.6455 0.6455 0.6455
6 As 0.3545 0.3545 0.3545
7 Fe 0.7255 0.4963 0.0240
8 Fe 0.5000 0.5000 0.5000
9 Fe 0.4963 0.0240 0.7255
10 Fe 0.2745 0.9760 0.5037
11 Ge 0.8472 0.1528 0.5000
12 Ge 0.1528 0.5000 0.8472
13 Fe 0.7603 0.0000 0.2397
14 Fe 0.1149 0.1149 0.1149
15 Fe 0.0240 0.7255 0.4963
16 Fe 0.5037 0.2745 0.9760
17 Ge 0.5000 0.8472 0.1528

SG: R32 (155)
E_tot in eV for the cell shown: -125.74
Volume in Å³/cell: 216.7



[12]
First-principles (PBE-GGA) data for KFeAs2 after structural relaxation, as listed in Materials Project.

Cell lengths 6.9704, 6.9704, 6.9704 Å; angles 146.99, 146.99, 47.38 degrees
Element x y z (fractional)
1 As 0.6693 0.6693 0.0000
2 Fe 0.2500 0.7500 0.5000
3 As 0.3307 0.3307 0.0000
4 K 0.0000 0.0000 0.0000

SG: I-4m2 (119)
E_tot in eV for the cell shown: -19.17
Volume in Å³/cell: 100.1



[13]
First-principles (PBE-GGA) data for LaFe4As12 after structural relaxation, as listed in Materials Project.

Cell lengths 7.2427, 7.2427, 7.2427 Å; angles 109.47, 109.47, 109.47 degrees
Element x y z (fractional)
1 La 0.0000 0.0000 0.0000
2 As 0.3440 0.1568 0.5008
3 As 0.6560 0.1568 0.8128
4 Fe 0.5000 0.5000 0.5000
5 Fe 0.5000 0.0000 0.0000
6 Fe 0.0000 0.5000 0.0000
7 Fe 0.0000 0.0000 0.5000
8 As 0.8432 0.1872 0.3440
9 As 0.3440 0.8432 0.1872
10 As 0.8128 0.6560 0.1568
11 As 0.1872 0.3440 0.8432
12 As 0.4992 0.6560 0.8432
13 As 0.5008 0.3440 0.1568
14 As 0.1568 0.8128 0.6560
15 As 0.8432 0.4992 0.6560
16 As 0.1568 0.5008 0.3440
17 As 0.6560 0.8432 0.4992

SG: Im-3 (204)
E_tot in eV for the cell shown: -101.60
Volume in Å³/cell: 292.5



[14]
First-principles (PBE-GGA) data for LaFe2AsN after structural relaxation, as listed in Materials Project.

Cell lengths 5.8627, 5.8627, 7.1129 Å; angles 90.00, 90.00, 142.29 degrees
Element x y z (fractional)
1 La 0.5404 0.4596 0.2500
2 Fe 0.8312 0.1688 0.0555
3 As 0.2674 0.7326 0.2500
4 Fe 0.1688 0.8312 0.5555
5 As 0.7326 0.2674 0.7500
6 N 0.0000 0.0000 0.0000
7 N 0.0000 0.0000 0.5000
8 La 0.4596 0.5404 0.7500
9 Fe 0.8312 0.1688 0.4445
10 Fe 0.1688 0.8312 0.9445

SG: Cmcm (63)
E_tot in eV for the cell shown: -76.60
Volume in Å³/cell: 149.5



no.,E_form (eV/f.u.)
1,-22.73
2,-50.16
3,-8.03
4,-19.76
5,-19.42
6,-19.42
7,-1.19
8,-0.41
9,-0.79
10,0.33
11,-0.91
12,-0.27
13,-6.88
14,-3.79